The following is a DFT calculation (PBE-GGA) of a relaxed Li6Zn3P4S16 crystal.

Structure (POSCAR):
```
Li6Zn3P4S16
1.0
9.309 0.000 0.000
-0.007 11.600 0.000
-0.011 -0.016 23.159
Li Zn P S
24 12 16 64
direct
0.000 0.000 0.000
0.000 0.001 0.505
0.001 0.998 0.754
0.003 0.750 0.376
0.004 0.504 0.253
0.004 0.750 0.125
0.007 0.003 0.247
0.246 0.991 0.377
0.483 0.250 0.124
0.488 0.998 0.251
0.491 0.252 0.377
0.493 0.747 0.378
0.493 0.750 0.630
0.494 0.755 0.124
0.496 0.004 0.503
0.498 0.250 0.877
0.499 0.248 0.626
0.503 0.753 0.876
0.738 0.243 0.251
0.743 0.758 0.499
0.753 0.759 0.248
0.996 0.499 0.502
0.998 0.500 0.752
0.999 0.502 0.002
0.000 0.250 0.125
0.002 0.750 0.628
0.481 0.501 0.251
0.487 0.501 0.501
0.495 0.001 0.002
0.495 0.501 0.753
0.495 0.502 0.001
0.496 0.001 0.752
0.995 0.251 0.379
0.995 0.251 0.876
0.995 0.752 0.878
0.996 0.251 0.628
0.243 0.251 0.499
0.244 0.750 0.255
0.246 0.252 0.001
0.246 0.252 0.251
0.246 0.750 0.752
0.247 0.251 0.752
0.248 0.747 0.000
0.249 0.754 0.505
0.741 0.500 0.379
0.744 0.498 0.130
0.745 0.004 0.627
0.746 0.001 0.877
0.746 0.998 0.124
0.747 0.500 0.877
0.748 0.502 0.627
0.750 0.001 0.374
0.122 0.355 0.198
0.125 0.148 0.307
0.125 0.647 0.556
0.126 0.855 0.450
0.129 0.359 0.445
0.129 0.647 0.807
0.130 0.149 0.556
0.130 0.355 0.945
0.132 0.852 0.200
0.133 0.147 0.807
0.133 0.356 0.696
0.133 0.642 0.308
0.134 0.146 0.057
0.135 0.856 0.696
0.136 0.854 0.944
0.137 0.644 0.054
0.355 0.363 0.305
0.357 0.365 0.053
0.357 0.640 0.450
0.358 0.637 0.700
0.359 0.862 0.052
0.360 0.142 0.448
0.360 0.144 0.200
0.360 0.359 0.553
0.361 0.139 0.699
0.361 0.140 0.949
0.362 0.362 0.804
0.362 0.862 0.804
0.369 0.856 0.307
0.371 0.641 0.947
0.371 0.648 0.201
0.372 0.856 0.556
0.619 0.391 0.184
0.623 0.105 0.323
0.624 0.396 0.432
0.625 0.106 0.073
0.625 0.603 0.321
0.626 0.606 0.571
0.627 0.600 0.075
0.628 0.400 0.681
0.628 0.897 0.180
0.628 0.899 0.428
0.632 0.105 0.821
0.632 0.898 0.933
0.634 0.396 0.933
0.634 0.605 0.821
0.634 0.897 0.683
0.638 0.107 0.572
0.859 0.389 0.077
0.859 0.889 0.825
0.860 0.389 0.824
0.860 0.390 0.575
0.860 0.613 0.679
0.861 0.113 0.929
0.861 0.612 0.929
0.862 0.391 0.326
0.863 0.113 0.178
0.863 0.608 0.429
0.864 0.606 0.181
0.865 0.889 0.576
0.869 0.106 0.428
0.869 0.897 0.074
0.872 0.107 0.680
0.875 0.897 0.322
```

- M_tot (μB per atom) = 0.00
- E above lowest polymorph (meV per atom) = 3.6
- energy relative to the elements (meV/atom) = -1002
- calculated density (g/cm3) = 2.32

The following is a DFT calculation (PBE-GGA) of a relaxed Nb2C3N6 crystal.

Structure (POSCAR):
```
Nb2C3N6
1.0
4.925 -2.691 0.000
4.925 2.691 0.000
-3.391 0.000 10.177
Nb C N
4 6 12
direct
0.156 0.713 0.501
0.287 0.844 0.999
0.713 0.156 0.001
0.844 0.287 0.499
0.079 0.253 0.268
0.253 0.079 0.768
0.423 0.577 0.250
0.577 0.423 0.750
0.747 0.921 0.232
0.921 0.747 0.732
0.056 0.173 0.148
0.090 0.337 0.387
0.173 0.056 0.648
0.337 0.090 0.887
0.416 0.560 0.132
0.440 0.584 0.368
0.560 0.416 0.632
0.584 0.440 0.868
0.663 0.910 0.113
0.827 0.944 0.352
0.910 0.663 0.613
0.944 0.827 0.852
```

- M_tot (μB per atom) = 0.00
- E above lowest polymorph (meV per atom) = 0.0
- energy relative to the elements (meV/atom) = -314
- calculated density (g/cm3) = 3.77

The following is a DFT calculation (PBE-GGA) of a relaxed RbCu2Se2O10 crystal.

Structure (POSCAR):
```
RbCu2Se2O10
1.0
4.904 -3.123 0.000
4.904 3.123 0.000
-4.437 0.000 7.719
Rb Cu Se O
1 2 2 10
direct
0.000 0.000 0.000
0.000 0.500 0.500
0.500 0.000 0.500
0.437 0.437 0.235
0.563 0.563 0.765
0.185 0.185 0.544
0.220 0.673 0.706
0.327 0.780 0.294
0.328 0.328 0.329
0.334 0.334 0.022
0.666 0.666 0.978
0.672 0.672 0.671
0.673 0.220 0.706
0.780 0.327 0.294
0.815 0.815 0.456
```

- M_tot (μB per atom) = 0.07
- energy relative to the elements (meV/atom) = -1087
- calculated density (g/cm3) = 3.73

The following is a DFT calculation (PBE-GGA) of a relaxed RbP crystal.

Structure (POSCAR):
```
RbP
1.0
-2.429 2.548 3.527
2.429 -2.548 3.527
2.429 2.548 -3.527
Rb P
1 1
direct
0.000 0.000 0.000
0.500 0.500 0.000
```

- M_tot (μB per atom) = 1.00
- energy relative to the elements (meV/atom) = 628
- calculated density (g/cm3) = 2.21

The following is a DFT calculation (PBE-GGA) of a relaxed TeMoWSeS2 crystal.

Structure (POSCAR):
```
TeMoWSeS2
1.0
3.306 0.000 0.000
-1.653 2.863 0.000
0.000 0.000 37.641
Te Mo W Se S
2 2 2 2 4
direct
0.000 0.000 0.000
0.000 0.000 0.102
0.000 0.000 0.487
0.333 0.667 0.051
0.000 0.000 0.863
0.333 0.667 0.675
0.000 0.000 0.630
0.000 0.000 0.720
0.333 0.667 0.447
0.333 0.667 0.528
0.333 0.667 0.822
0.333 0.667 0.904
```

- M_tot (μB per atom) = 0.00
- E above lowest polymorph (meV per atom) = 16.7
- energy relative to the elements (meV/atom) = -743
- calculated density (g/cm3) = 5.13

The following is a DFT calculation (PBE-GGA) of a relaxed Na3LiSbP2O9 crystal.

Structure (POSCAR):
```
Na3LiSbP2O9
1.0
7.325 0.000 0.000
0.000 9.498 0.000
0.000 0.000 12.728
Na Li Sb P O
12 4 4 8 36
direct
0.142 0.108 0.149
0.157 0.242 0.766
0.235 0.585 0.501
0.265 0.415 0.001
0.343 0.758 0.266
0.358 0.892 0.649
0.642 0.392 0.851
0.657 0.258 0.234
0.735 0.915 0.499
0.765 0.085 0.999
0.843 0.742 0.734
0.858 0.608 0.351
0.096 0.557 0.165
0.404 0.443 0.665
0.596 0.943 0.835
0.904 0.057 0.335
0.018 0.754 0.996
0.482 0.246 0.496
0.518 0.746 0.004
0.982 0.254 0.504
0.221 0.374 0.291
0.233 0.960 0.421
0.267 0.040 0.921
0.279 0.626 0.791
0.721 0.126 0.709
0.733 0.540 0.579
0.767 0.460 0.079
0.779 0.874 0.209
0.050 0.027 0.466
0.057 0.285 0.339
0.095 0.681 0.839
0.103 0.971 0.986
0.189 0.533 0.314
0.224 0.350 0.172
0.237 0.311 0.561
0.242 0.804 0.448
0.244 0.989 0.303
0.256 0.011 0.803
0.258 0.196 0.948
0.263 0.689 0.061
0.276 0.650 0.672
0.311 0.467 0.814
0.397 0.029 0.486
0.405 0.319 0.339
0.443 0.715 0.839
0.450 0.973 0.966
0.550 0.473 0.534
0.557 0.215 0.661
0.595 0.819 0.161
0.603 0.529 0.014
0.689 0.967 0.686
0.724 0.150 0.828
0.737 0.189 0.439
0.742 0.696 0.552
0.744 0.511 0.697
0.756 0.489 0.197
0.758 0.304 0.052
0.763 0.811 0.939
0.776 0.850 0.328
0.811 0.033 0.186
0.897 0.471 0.514
0.905 0.181 0.661
0.943 0.785 0.161
0.950 0.527 0.034
```

- M_tot (μB per atom) = 0.00
- energy relative to the elements (meV/atom) = -2420
- calculated density (g/cm3) = 3.03

The following is a DFT calculation (PBE-GGA) of a relaxed K2SO4 crystal.

Structure (POSCAR):
```
K2SO4
1.0
3.015 -4.982 0.000
3.015 4.982 0.000
-0.026 0.000 8.030
K S O
4 2 8
direct
0.000 0.000 0.000
0.000 0.000 0.500
0.308 0.692 0.750
0.692 0.308 0.250
0.351 0.649 0.250
0.649 0.351 0.750
0.237 0.359 0.241
0.251 0.723 0.401
0.277 0.749 0.099
0.359 0.237 0.741
0.641 0.763 0.259
0.723 0.251 0.901
0.749 0.277 0.599
0.763 0.641 0.759
```

- M_tot (μB per atom) = 0.00
- E above lowest polymorph (meV per atom) = 11.8
- energy relative to the elements (meV/atom) = -2266
- calculated density (g/cm3) = 2.40

The following is a DFT calculation (PBE-GGA) of a relaxed Na3Zr4SiP5O24 crystal.

Structure (POSCAR):
```
Na3Zr4SiP5O24
1.0
8.991 0.000 0.000
-4.494 7.826 0.000
-0.004 -0.013 23.378
Na Zr Si P O
9 12 3 15 72
direct
0.000 0.000 0.000
0.000 0.359 0.250
0.031 0.701 0.166
0.303 0.698 0.667
0.335 0.040 0.583
0.340 0.036 0.083
0.664 0.695 0.916
0.667 0.700 0.416
0.997 0.361 0.750
0.000 0.366 0.397
0.000 0.372 0.896
0.001 0.363 0.102
0.334 0.033 0.436
0.335 0.043 0.731
0.336 0.029 0.935
0.336 0.039 0.231
0.664 0.697 0.769
0.665 0.694 0.563
0.668 0.696 0.064
0.669 0.706 0.270
0.998 0.360 0.602
0.001 0.657 0.000
0.376 0.407 0.666
0.958 0.994 0.167
0.000 0.075 0.499
0.042 0.033 0.834
0.044 0.742 0.333
0.290 0.657 0.500
0.292 0.368 0.999
0.334 0.325 0.334
0.334 0.742 0.832
0.378 0.700 0.167
0.624 0.034 0.334
0.625 0.324 0.833
0.665 0.408 0.167
0.668 0.990 0.667
0.709 0.077 0.999
0.710 0.366 0.499
0.957 0.700 0.666
0.024 0.194 0.840
0.025 0.563 0.341
0.029 0.188 0.553
0.031 0.574 0.058
0.126 0.007 0.888
0.130 0.856 0.386
0.141 0.855 0.674
0.145 0.001 0.174
0.153 0.824 0.278
0.155 0.060 0.781
0.162 0.058 0.492
0.166 0.852 0.992
0.172 0.342 0.341
0.175 0.563 0.840
0.176 0.332 0.052
0.182 0.576 0.554
0.190 0.398 0.659
0.194 0.543 0.160
0.204 0.544 0.447
0.205 0.393 0.946
0.305 0.203 0.992
0.306 0.212 0.280
0.306 0.823 0.778
0.309 0.837 0.492
0.352 0.858 0.174
0.355 0.218 0.673
0.360 0.237 0.387
0.361 0.855 0.885
0.460 0.670 0.220
0.463 0.533 0.722
0.470 0.527 0.006
0.471 0.678 0.506
0.487 0.728 0.113
0.494 0.502 0.326
0.496 0.500 0.610
0.497 0.725 0.827
0.502 0.001 0.674
0.508 0.229 0.174
0.511 0.007 0.387
0.513 0.240 0.886
0.530 0.058 0.993
0.530 0.206 0.492
0.540 0.212 0.780
0.541 0.061 0.280
0.636 0.876 0.613
0.637 0.490 0.113
0.642 0.872 0.327
0.645 0.504 0.826
0.693 0.528 0.506
0.695 0.899 0.007
0.697 0.907 0.720
0.698 0.524 0.220
0.793 0.187 0.053
0.794 0.339 0.553
0.804 0.194 0.341
0.804 0.341 0.839
0.823 0.393 0.446
0.825 0.170 0.659
0.826 0.158 0.947
0.831 0.397 0.160
0.834 0.685 0.006
0.838 0.898 0.222
0.840 0.897 0.507
0.846 0.672 0.720
0.863 0.722 0.326
0.864 0.872 0.826
0.875 0.730 0.613
0.875 0.872 0.109
0.971 0.537 0.944
0.974 0.163 0.446
0.980 0.183 0.160
0.982 0.542 0.659
```

- M_tot (μB per atom) = 0.00
- energy relative to the elements (meV/atom) = -3152
- calculated density (g/cm3) = 3.03